(1)
The following is a PBE+U calculation of a relaxed structure of SrEu2Fe2O7, from Materials Project.

Cell lengths 5.588, 5.588, 20.012 Å; angles 90.00, 90.00, 90.00 degrees
Space group P4_2/mnm (No. 136)
Symmetry-distinct sites (fractional):
Sr 0.245 0.245 0.000 x4
Eu 0.229 0.229 0.184 x8
Fe 0.246 0.246 0.401 x8
O 0.000 0.000 0.089 x4
O 0.000 0.000 0.380 x4
O 0.000 0.500 0.105 x8
O 0.202 0.798 0.204 x8
O 0.213 0.213 0.500 x4

(2)
The following is a PBE+U calculation of a relaxed structure of SrEu2Fe2O7, from Materials Project.

Cell lengths 5.427, 5.427, 20.044 Å; angles 90.00, 90.00, 90.00 degrees
Space group P4_2/mnm (No. 136)
Symmetry-distinct sites (fractional):
Sr 0.248 0.248 0.000 x4
Eu 0.242 0.242 0.183 x8
Fe 0.249 0.249 0.403 x8
O 0.000 0.000 0.094 x4
O 0.000 0.000 0.394 x4
O 0.000 0.500 0.100 x8
O 0.231 0.769 0.200 x8
O 0.237 0.237 0.500 x4

(3)
The following is a PBE+U calculation of a relaxed structure of SrEu2Fe2O7, from Materials Project.

Cell lengths 20.044, 5.427, 5.427 Å; angles 90.00, 90.00, 90.00 degrees
Space group Cmcm (No. 63)
Symmetry-distinct sites (fractional):
Sr 0.000 0.248 0.250 x4
Eu 0.183 0.242 0.250 x8
Fe 0.097 0.251 0.750 x8
O 0.000 0.263 0.750 x4
O 0.097 0.000 0.000 x8
O 0.103 0.500 0.000 x8
O 0.200 0.231 0.750 x8

Number 1: distance to the lowest polymorph of the same formula 0.0 meV per atom, total magnetization 22.00 μB/f.u., formation energy from the elements -2.565 eV per atom. Number 2: distance to the lowest polymorph of the same formula 23.2 meV per atom, total magnetization 22.00 μB/f.u., formation energy from the elements -2.541 eV per atom. Number 3: distance to the lowest polymorph of the same formula 23.9 meV per atom, total magnetization 21.78 μB/f.u., formation energy from the elements -2.541 eV per atom.